1.
First-principles (GGA-PBE) data for BaCaBiF7 after structural relaxation, as listed in the Materials Project.

a = 10.8107 Å, b = 5.9976 Å, c = 10.0013 Å
α = 87.35°, β = 90.00°, γ = 90.00°
Last column: nearest neighbours and their distance in Å.
Positions (direct):
1 Ba 0.3116 0.7524 0.4988  8 F 2.76-2.97
2 Ba 0.8116 0.2476 0.0012  8 F 2.76-2.97
3 Ba 0.6884 0.2476 0.5012  8 F 2.76-2.97
4 Ba 0.1884 0.7524 0.9988  8 F 2.76-2.97
5 Ca 0.4046 0.2845 0.7952  7 F 2.26-2.43
6 Ca 0.9046 0.7155 0.7048  7 F 2.26-2.43
7 Ca 0.0954 0.2845 0.2952  7 F 2.26-2.43
8 Ca 0.5954 0.7155 0.2048  7 F 2.26-2.43
9 Bi 0.5924 0.7824 0.8065  7 F 2.27-2.48
10 Bi 0.4076 0.2176 0.1935  7 F 2.27-2.48
11 Bi 0.9076 0.7824 0.3065  7 F 2.27-2.48
12 Bi 0.0924 0.2176 0.6935  7 F 2.27-2.48
13 F 0.4305 0.8798 0.1028  1 Ca 2.26, 1 Bi 2.27
14 F 0.0792 0.6159 0.4009  1 Bi 2.29, 1 Ca 2.30
15 F 0.7386 0.5012 0.7782  1 Ca 2.31, 1 Bi 2.34
16 F 0.2614 0.4988 0.2218  1 Ca 2.31, 1 Bi 2.34
17 F 0.5057 0.9772 0.3565  1 Bi 2.38, 1 Ca 2.43
18 F 0.7888 0.7618 0.4999  1 Bi 2.32, 1 Ca 2.41
19 F 0.7613 0.9954 0.7309  1 Ca 2.31, 1 Bi 2.33
20 F 0.0057 0.0228 0.1435  1 Bi 2.38, 1 Ca 2.43
21 F 0.4208 0.6159 0.9009  1 Bi 2.29, 1 Ca 2.30
22 F 0.2386 0.4988 0.7218  1 Ca 2.31, 1 Bi 2.34
23 F 0.0695 0.8798 0.6028  1 Ca 2.26, 1 Bi 2.27
24 F 0.5695 0.1202 0.8972  1 Ca 2.26, 1 Bi 2.27
25 F 0.2613 0.0046 0.7691  1 Ca 2.31, 1 Bi 2.33
26 F 0.0076 0.4766 0.8569  1 Ca 2.32, 1 Bi 2.48
27 F 0.4943 0.0228 0.6435  1 Bi 2.38, 1 Ca 2.43
28 F 0.9943 0.9772 0.8565  1 Bi 2.38, 1 Ca 2.43
29 F 0.2387 0.0046 0.2691  1 Ca 2.31, 1 Bi 2.33
30 F 0.9305 0.1202 0.3972  1 Ca 2.26, 1 Bi 2.27
31 F 0.5076 0.5234 0.6431  1 Ca 2.32, 1 Bi 2.48
32 F 0.9208 0.3841 0.5991  1 Bi 2.29, 1 Ca 2.30
33 F 0.9924 0.5234 0.1431  1 Ca 2.32, 1 Bi 2.48
34 F 0.7387 0.9954 0.2309  1 Ca 2.31, 1 Bi 2.33
35 F 0.4924 0.4766 0.3569  1 Ca 2.32, 1 Bi 2.48
36 F 0.2888 0.2382 0.0001  1 Bi 2.32, 1 Ca 2.41
37 F 0.2112 0.2382 0.5001  1 Bi 2.32, 1 Ca 2.41
38 F 0.7112 0.7618 0.9999  1 Bi 2.32, 1 Ca 2.41
39 F 0.5792 0.3841 0.0991  1 Bi 2.29, 1 Ca 2.30
40 F 0.7614 0.5012 0.2782  1 Ca 2.31, 1 Bi 2.34

## Properties
The calculation puts the corrected total energy (MP2020 scheme) at -5.71 eV/atom. For the formation energy, the calculation gives -35.87 eV/f.u. The value obtained for the total magnetic moment is 0.0000 μB per atom. The mass density is 5.33 g/cm3.

***

2.
First-principles (GGA-PBE) data for CoHg3 after structural relaxation, as listed in the Materials Project.

a = 4.2885 Å, b = 4.2885 Å, c = 4.2885 Å
α = 90.00°, β = 90.00°, γ = 90.00°
Last column: nearest neighbours and their distance in Å.
Positions (direct):
1 Co 0.0000 0.0000 0.0000  12 Hg 3.03
2 Hg 0.0000 0.5000 0.5000  8 Hg 3.03, 4 Co 3.03
3 Hg 0.5000 0.0000 0.5000  8 Hg 3.03, 4 Co 3.03
4 Hg 0.5000 0.5000 0.0000  8 Hg 3.03, 4 Co 3.03

## Properties
For the formation energy, the calculation gives 1.90 eV/f.u. The value obtained for the total magnetic moment is 0.3408 μB per atom. The mass density is 13.91 g/cm3.

***

3.
First-principles (GGA-PBE) data for Ca3Al2Ge3O12 after structural relaxation, as listed in the Materials Project.

a = 10.6081 Å, b = 10.6081 Å, c = 10.6081 Å
α = 109.47°, β = 109.47°, γ = 109.47°
Last column: nearest neighbours and their distance in Å.
Positions (direct):
1 Ca 0.8750 0.6250 0.7500  8 O 2.37-2.53
2 Ca 0.1250 0.3750 0.2500  8 O 2.37-2.53
3 Ca 0.6250 0.8750 0.2500  8 O 2.37-2.53
4 Ca 0.6250 0.7500 0.8750  8 O 2.37-2.53
5 Ca 0.8750 0.2500 0.6250  8 O 2.37-2.53
6 Ca 0.3750 0.1250 0.7500  8 O 2.37-2.53
7 Ca 0.3750 0.2500 0.1250  8 O 2.37-2.53
8 Ca 0.1250 0.7500 0.3750  8 O 2.37-2.53
9 Ca 0.7500 0.8750 0.6250  8 O 2.37-2.53
10 Ca 0.2500 0.1250 0.3750  8 O 2.37-2.53
11 Ca 0.2500 0.6250 0.8750  8 O 2.37-2.53
12 Ca 0.7500 0.3750 0.1250  8 O 2.37-2.53
13 Al 0.0000 0.0000 0.0000  6 O 1.94
14 Al 0.5000 0.0000 0.5000  6 O 1.94
15 Al 0.5000 0.5000 0.0000  6 O 1.94
16 Al 0.0000 0.0000 0.5000  6 O 1.94
17 Al 0.0000 0.5000 0.5000  6 O 1.94
18 Al 0.5000 0.5000 0.5000  6 O 1.94
19 Al 0.5000 0.0000 0.0000  6 O 1.94
20 Al 0.0000 0.5000 0.0000  6 O 1.94
21 Ge 0.6250 0.3750 0.7500  4 O 1.79
22 Ge 0.3750 0.6250 0.2500  4 O 1.79
23 Ge 0.8750 0.1250 0.2500  4 O 1.79
24 Ge 0.3750 0.7500 0.6250  4 O 1.79
25 Ge 0.6250 0.2500 0.3750  4 O 1.79
26 Ge 0.1250 0.8750 0.7500  4 O 1.79
27 Ge 0.1250 0.2500 0.8750  4 O 1.79
28 Ge 0.8750 0.7500 0.1250  4 O 1.79
29 Ge 0.7500 0.6250 0.3750  4 O 1.79
30 Ge 0.2500 0.3750 0.6250  4 O 1.79
31 Ge 0.2500 0.8750 0.1250  4 O 1.79
32 Ge 0.7500 0.1250 0.8750  4 O 1.79
33 O 0.6949 0.6154 0.5148  1 Ge 1.79, 1 Al 1.94
34 O 0.3051 0.3846 0.4852  1 Ge 1.79, 1 Al 1.94
35 O 0.8051 0.8199 0.4206  1 Ge 1.79, 1 Al 1.94
36 O 0.3994 0.8846 0.0794  1 Ge 1.79, 1 Al 1.94
37 O 0.6154 0.5148 0.6949  1 Ge 1.79, 1 Al 1.94
38 O 0.6949 0.0794 0.6801  1 Ge 1.79, 1 Al 1.94
39 O 0.1949 0.1801 0.5794  1 Ge 1.79, 1 Al 1.94
40 O 0.6006 0.1154 0.9206  1 Ge 1.79, 1 Al 1.94
41 O 0.3846 0.4852 0.3051  1 Ge 1.79, 1 Al 1.94
42 O 0.3051 0.9206 0.3199  1 Ge 1.79, 1 Al 1.94
43 O 0.1006 0.6801 0.9852  1 Ge 1.79, 1 Al 1.94
44 O 0.8199 0.4206 0.8051  1 Ge 1.79, 1 Al 1.94
45 O 0.8051 0.9852 0.8846  1 Ge 1.79, 1 Al 1.94
46 O 0.8994 0.3199 0.0148  1 Ge 1.79, 1 Al 1.94
47 O 0.1801 0.5794 0.1949  1 Ge 1.79, 1 Al 1.94
48 O 0.1949 0.0148 0.1154  1 Ge 1.79, 1 Al 1.94
49 O 0.8846 0.0794 0.3994  1 Ge 1.79, 1 Al 1.94
50 O 0.3994 0.5148 0.8199  1 Ge 1.79, 1 Al 1.94
51 O 0.1154 0.9206 0.6006  1 Ge 1.79, 1 Al 1.94
52 O 0.6006 0.4852 0.1801  1 Ge 1.79, 1 Al 1.94
53 O 0.6801 0.9852 0.1006  1 Ge 1.79, 1 Al 1.94
54 O 0.1006 0.4206 0.6154  1 Ge 1.79, 1 Al 1.94
55 O 0.3199 0.0148 0.8994  1 Ge 1.79, 1 Al 1.94
56 O 0.8994 0.5794 0.3846  1 Ge 1.79, 1 Al 1.94
57 O 0.5148 0.6949 0.6154  1 Ge 1.79, 1 Al 1.94
58 O 0.6154 0.1006 0.4206  1 Ge 1.79, 1 Al 1.94
59 O 0.4852 0.3051 0.3846  1 Ge 1.79, 1 Al 1.94
60 O 0.3846 0.8994 0.5794  1 Ge 1.79, 1 Al 1.94
61 O 0.0794 0.3994 0.8846  1 Ge 1.79, 1 Al 1.94
62 O 0.8846 0.8051 0.9852  1 Ge 1.79, 1 Al 1.94
63 O 0.9206 0.6006 0.1154  1 Ge 1.79, 1 Al 1.94
64 O 0.1154 0.1949 0.0148  1 Ge 1.79, 1 Al 1.94
65 O 0.9852 0.1006 0.6801  1 Ge 1.79, 1 Al 1.94
66 O 0.6801 0.6949 0.0794  1 Ge 1.79, 1 Al 1.94
67 O 0.0148 0.8994 0.3199  1 Ge 1.79, 1 Al 1.94
68 O 0.3199 0.3051 0.9206  1 Ge 1.79, 1 Al 1.94
69 O 0.4206 0.8051 0.8199  1 Ge 1.79, 1 Al 1.94
70 O 0.8199 0.3994 0.5148  1 Ge 1.79, 1 Al 1.94
71 O 0.5794 0.1949 0.1801  1 Ge 1.79, 1 Al 1.94
72 O 0.1801 0.6006 0.4852  1 Ge 1.79, 1 Al 1.94
73 O 0.0794 0.6801 0.6949  1 Ge 1.79, 1 Al 1.94
74 O 0.9206 0.3199 0.3051  1 Ge 1.79, 1 Al 1.94
75 O 0.9852 0.8846 0.8051  1 Ge 1.79, 1 Al 1.94
76 O 0.0148 0.1154 0.1949  1 Ge 1.79, 1 Al 1.94
77 O 0.4206 0.6154 0.1006  1 Ge 1.79, 1 Al 1.94
78 O 0.5794 0.3846 0.8994  1 Ge 1.79, 1 Al 1.94
79 O 0.5148 0.8199 0.3994  1 Ge 1.79, 1 Al 1.94
80 O 0.4852 0.1801 0.6006  1 Ge 1.79, 1 Al 1.94

## Properties
The calculation puts the corrected total energy (MP2020 scheme) at -7.29 eV/atom. For the formation energy, the calculation gives -59.06 eV/f.u. The value obtained for the total magnetic moment is 0.0000 μB per atom. The mass density is 4.22 g/cm3.

***

4.
First-principles (GGA-PBE) data for K2PrAuCl6 after structural relaxation, as listed in the Materials Project.

a = 7.7495 Å, b = 7.7495 Å, c = 7.7495 Å
α = 60.00°, β = 60.00°, γ = 60.00°
Last column: nearest neighbours and their distance in Å.
Positions (direct):
1 K 0.7500 0.7500 0.7500  12 Cl 3.87
2 K 0.2500 0.2500 0.2500  12 Cl 3.87
3 Pr 0.0000 0.0000 0.0000  6 Cl 2.74
4 Au 0.5000 0.5000 0.5000  6 Cl 2.74
5 Cl 0.7499 0.2501 0.2501  1 Au 2.74, 1 Pr 2.74
6 Cl 0.2501 0.2501 0.7499  1 Au 2.74, 1 Pr 2.74
7 Cl 0.2501 0.7499 0.7499  1 Au 2.74, 1 Pr 2.74
8 Cl 0.2501 0.7499 0.2501  1 Au 2.74, 1 Pr 2.74
9 Cl 0.7499 0.2501 0.7499  1 Au 2.74, 1 Pr 2.74
10 Cl 0.7499 0.7499 0.2501  1 Au 2.74, 1 Pr 2.74

## Properties
The calculation puts the corrected total energy (MP2020 scheme) at -4.11 eV/atom. For the formation energy, the calculation gives -19.70 eV/f.u. The value obtained for the total magnetic moment is 0.0001 μB per atom. The mass density is 3.17 g/cm3.

***

5.
First-principles (GGA-PBE) data for Pt3S3NO14 after structural relaxation, as listed in the Materials Project.

a = 11.8080 Å, b = 11.8080 Å, c = 11.8080 Å
α = 61.75°, β = 61.75°, γ = 61.75°
Last column: nearest neighbours and their distance in Å.
Positions (direct):
1 Pt 0.1978 0.7468 0.1513  5 O 2.02-2.18
2 Pt 0.7468 0.1513 0.1978  5 O 2.02-2.18
3 Pt 0.1513 0.1978 0.7468  5 O 2.02-2.18
4 Pt 0.8022 0.2532 0.8487  5 O 2.02-2.18
5 Pt 0.2532 0.8487 0.8022  5 O 2.02-2.18
6 Pt 0.8487 0.8022 0.2532  5 O 2.02-2.18
7 Pt 0.2733 0.9602 0.0174  5 O 2.02-2.17
8 Pt 0.9602 0.0174 0.2733  5 O 2.02-2.17
9 Pt 0.0174 0.2733 0.9602  5 O 2.02-2.17
10 Pt 0.7267 0.0398 0.9826  5 O 2.02-2.17
11 Pt 0.0398 0.9826 0.7267  5 O 2.02-2.17
12 Pt 0.9826 0.7267 0.0398  5 O 2.02-2.17
13 S 0.2558 0.8373 0.3198  4 O 1.42-1.54
14 S 0.8373 0.3198 0.2558  4 O 1.42-1.54
15 S 0.3198 0.2558 0.8373  4 O 1.42-1.54
16 S 0.7442 0.1627 0.6802  4 O 1.42-1.54
17 S 0.1627 0.6802 0.7442  4 O 1.42-1.54
18 S 0.6802 0.7442 0.1627  4 O 1.42-1.54
19 S 0.4888 0.7010 0.9465  4 O 1.43-1.54
20 S 0.7010 0.9465 0.4888  4 O 1.43-1.54
21 S 0.9465 0.4888 0.7010  4 O 1.43-1.54
22 S 0.5112 0.2990 0.0535  4 O 1.43-1.54
23 S 0.2990 0.0535 0.5112  4 O 1.43-1.54
24 S 0.0535 0.5112 0.2990  4 O 1.43-1.54
25 N 0.6026 0.6026 0.6026  6 O 3.03-3.17
26 N 0.3974 0.3974 0.3974  6 O 3.03-3.17
27 N 0.7951 0.7951 0.7951  6 O 2.91-3.07
28 N 0.2049 0.2049 0.2049  6 O 2.91-3.07
29 O 0.0886 0.0886 0.0886  3 Pt 2.03
30 O 0.9114 0.9114 0.9114  3 Pt 2.03
31 O 0.0020 0.8487 0.2355  3 Pt 2.02-2.03
32 O 0.8487 0.2355 0.0020  3 Pt 2.02-2.03
33 O 0.2355 0.0020 0.8487  3 Pt 2.02-2.03
34 O 0.9980 0.1513 0.7645  3 Pt 2.02-2.03
35 O 0.1513 0.7645 0.9980  3 Pt 2.02-2.03
36 O 0.7645 0.9980 0.1513  3 Pt 2.02-2.03
37 O 0.1130 0.9230 0.3723  1 S 1.50
38 O 0.9230 0.3723 0.1130  1 S 1.50
39 O 0.3723 0.1130 0.9230  1 S 1.50
40 O 0.8870 0.0770 0.6277  1 S 1.50
41 O 0.0770 0.6277 0.8870  1 S 1.50
42 O 0.6277 0.8870 0.0770  1 S 1.50
43 O 0.3238 0.9221 0.1764  1 S 1.54
44 O 0.9221 0.1764 0.3238  1 S 1.54
45 O 0.1764 0.3238 0.9221  1 S 1.54
46 O 0.6762 0.0779 0.8236  1 S 1.54
47 O 0.0779 0.8236 0.6762  1 S 1.54
48 O 0.8236 0.6762 0.0779  1 S 1.54
49 O 0.2080 0.5939 0.6680  1 S 1.42
50 O 0.5939 0.6680 0.2080  1 S 1.42
51 O 0.6680 0.2080 0.5939  1 S 1.42
52 O 0.7920 0.4061 0.3320  1 S 1.42
53 O 0.4061 0.3320 0.7920  1 S 1.42
54 O 0.3320 0.7920 0.4061  1 S 1.42
55 O 0.2527 0.7161 0.3056  1 S 1.54
56 O 0.7161 0.3056 0.2527  1 S 1.54
57 O 0.3056 0.2527 0.7161  1 S 1.54
58 O 0.7473 0.2839 0.6944  1 S 1.54
59 O 0.2839 0.6944 0.7473  1 S 1.54
60 O 0.6944 0.7473 0.2839  1 S 1.54
61 O 0.4644 0.8409 0.9475  1 S 1.54
62 O 0.8409 0.9475 0.4644  1 S 1.54
63 O 0.9475 0.4644 0.8409  1 S 1.54
64 O 0.5356 0.1591 0.0525  1 S 1.54
65 O 0.1591 0.0525 0.5356  1 S 1.54
66 O 0.0525 0.5356 0.1591  1 S 1.54
67 O 0.6275 0.6201 0.9336  1 S 1.43
68 O 0.6201 0.9336 0.6275  1 S 1.43
69 O 0.9336 0.6275 0.6201  1 S 1.43
70 O 0.3725 0.3799 0.0664  1 S 1.43
71 O 0.3799 0.0664 0.3725  1 S 1.43
72 O 0.0664 0.3725 0.3799  1 S 1.43
73 O 0.3951 0.6342 0.0824  1 S 1.54
74 O 0.6342 0.0824 0.3951  1 S 1.54
75 O 0.0824 0.3951 0.6342  1 S 1.54
76 O 0.6049 0.3658 0.9176  1 S 1.54
77 O 0.3658 0.9176 0.6049  1 S 1.54
78 O 0.9176 0.6049 0.3658  1 S 1.54
79 O 0.1666 0.5502 0.2790  1 S 1.49
80 O 0.5502 0.2790 0.1666  1 S 1.49
81 O 0.2790 0.1666 0.5502  1 S 1.49
82 O 0.8334 0.4498 0.7210  1 S 1.49
83 O 0.4498 0.7210 0.8334  1 S 1.49
84 O 0.7210 0.8334 0.4498  1 S 1.49

## Properties
The calculation puts the corrected total energy (MP2020 scheme) at -6.20 eV/atom. For the formation energy, the calculation gives -22.00 eV/f.u. The value obtained for the total magnetic moment is 0.1693 μB per atom. The mass density is 5.05 g/cm3.

***

6.
First-principles (GGA-PBE) data for Li4CuP6O18 after structural relaxation, as listed in the Materials Project.

a = 7.2536 Å, b = 7.4922 Å, c = 7.6567 Å
α = 107.71°, β = 99.29°, γ = 113.65°
Last column: nearest neighbours and their distance in Å.
Positions (direct):
1 Li 0.2159 0.0630 0.8872  3 O 2.02-2.11
2 Li 0.6283 0.4456 0.8391  3 O 2.02-2.19
3 Li 0.4872 0.9983 0.5282  3 O 2.08-2.12
4 Li 0.3638 0.5430 0.1505  3 O 1.98-2.17
5 Cu 0.7957 0.9432 0.1327  4 O 1.93-2.06
6 P 0.9869 0.3150 0.7795  4 O 1.49-1.64
7 P 0.3403 0.6863 0.7827  4 O 1.49-1.63
8 P 0.2073 0.2629 0.4977  4 O 1.50-1.63
9 P 0.7749 0.7229 0.4989  4 O 1.48-1.65
10 P 0.6729 0.3193 0.2068  4 O 1.50-1.62
11 P 0.0217 0.7009 0.2353  4 O 1.49-1.62
12 O 0.1115 0.2828 0.9318  1 P 1.50
13 O 0.5103 0.6912 0.9347  1 P 1.53
14 O 0.1140 0.5649 0.8116  2 P 1.62-1.64
15 O 0.7579 0.2562 0.7479  1 P 1.49
16 O 0.3707 0.2208 0.5980  1 P 1.50
17 O 0.0036 0.2001 0.5711  2 P 1.61-1.62
18 O 0.3615 0.8855 0.7655  1 P 1.49
19 O 0.8373 0.8135 0.7128  1 P 1.48
20 O 0.3067 0.5200 0.5699  2 P 1.63
21 O 0.6956 0.4652 0.4219  2 P 1.61-1.65
22 O 0.1120 0.1616 0.2791  1 P 1.51
23 O 0.6610 0.1159 0.2120  1 P 1.50
24 O 0.9943 0.8000 0.4403  2 P 1.60-1.65
25 O 0.6209 0.7588 0.3753  1 P 1.51
26 O 0.2509 0.7691 0.2619  1 P 1.49
27 O 0.9028 0.4491 0.1874  2 P 1.62
28 O 0.5027 0.3145 0.0616  1 P 1.50
29 O 0.8915 0.7302 0.0786  1 P 1.53

## Properties
The calculation puts the corrected total energy (MP2020 scheme) at -7.11 eV/atom. For the formation energy, the calculation gives -72.85 eV/f.u. The value obtained for the total magnetic moment is 0.0345 μB per atom. The mass density is 2.73 g/cm3. As for the excess energy over the best structure of this formula in the dataset: 0.000 eV per atom.